1.
A relaxed SiO2 crystal, computed with PBE.

Cell and atoms, written as CIF:
```
data_SiO2
_chemical_formula_sum 'Si18 O36'
_cell_length_a 12.667
_cell_length_b 11.333
_cell_length_c 11.211
_cell_angle_alpha 68.37
_cell_angle_beta 56.27
_cell_angle_gamma 55.36
_space_group_name_H-M_alt 'P 1'
_space_group_IT_number 1
_space_group_name_Hall 'P 1'
loop_
_atom_site_label
_atom_site_type_symbol
_atom_site_fract_x
_atom_site_fract_y
_atom_site_fract_z
_atom_site_occupancy
Si1 Si 0.322 0.298 0.928 1
Si2 Si 0.926 0.706 0.074 1
Si3 Si 0.452 0.928 0.298 1
Si4 Si 0.298 0.322 0.452 1
Si5 Si 0.072 0.548 0.678 1
Si6 Si 0.548 0.072 0.702 1
Si7 Si 0.390 0.788 0.610 1
Si8 Si 0.212 0.610 0.788 1
Si9 Si 0.928 0.452 0.322 1
Si10 Si 0.074 0.294 0.926 1
Si11 Si 0.702 0.678 0.548 1
Si12 Si 0.706 0.926 0.294 1
Si13 Si 0.250 0.250 0.250 1
Si14 Si 0.678 0.702 0.072 1
Si15 Si 0.294 0.074 0.706 1
Si16 Si 0.788 0.390 0.212 1
Si17 Si 0.750 0.750 0.750 1
Si18 Si 0.610 0.212 0.390 1
O1 O 0.685 0.923 0.712 1
O2 O 0.449 0.314 0.400 1
O3 O 0.564 0.967 0.286 1
O4 O 0.530 0.834 0.166 1
O5 O 0.320 0.288 0.077 1
O6 O 0.967 0.564 0.183 1
O7 O 0.714 0.817 0.436 1
O8 O 0.166 0.470 0.530 1
O9 O 0.400 0.836 0.449 1
O10 O 0.834 0.530 0.470 1
O11 O 0.150 0.150 0.850 1
O12 O 0.551 0.686 0.600 1
O13 O 0.033 0.436 0.817 1
O14 O 0.817 0.714 0.033 1
O15 O 0.686 0.551 0.164 1
O16 O 0.470 0.166 0.834 1
O17 O 0.929 0.305 0.071 1
O18 O 0.850 0.850 0.150 1
O19 O 0.077 0.315 0.320 1
O20 O 0.600 0.164 0.551 1
O21 O 0.183 0.286 0.967 1
O22 O 0.436 0.033 0.714 1
O23 O 0.695 0.071 0.305 1
O24 O 0.302 0.698 0.698 1
O25 O 0.712 0.680 0.685 1
O26 O 0.836 0.400 0.314 1
O27 O 0.314 0.449 0.836 1
O28 O 0.698 0.302 0.302 1
O29 O 0.286 0.183 0.564 1
O30 O 0.288 0.320 0.315 1
O31 O 0.164 0.600 0.686 1
O32 O 0.305 0.929 0.695 1
O33 O 0.315 0.077 0.288 1
O34 O 0.923 0.685 0.680 1
O35 O 0.680 0.712 0.923 1
O36 O 0.071 0.695 0.929 1
```

Summary:
As for the total energy: -7.90 eV per atom. As for the symmetry: Fmmm, No. 69. As for the energy relative to the elements: -3.25 eV per atom.


2.
A relaxed CaMn4S8 crystal, computed with PBE.

Cell and atoms, written as CIF:
```
data_CaMn4S8
_chemical_formula_sum 'Ca1 Mn4 S8'
_cell_length_a 7.738
_cell_length_b 7.738
_cell_length_c 7.738
_cell_angle_alpha 51.39
_cell_angle_beta 51.39
_cell_angle_gamma 51.39
_space_group_name_H-M_alt 'P 1'
_space_group_IT_number 1
_space_group_name_Hall 'P 1'
loop_
_atom_site_label
_atom_site_type_symbol
_atom_site_fract_x
_atom_site_fract_y
_atom_site_fract_z
_atom_site_occupancy
Ca1 Ca 0.500 0.500 0.500 1
Mn1 Mn 0.000 0.500 0.500 1
Mn2 Mn 0.500 0.000 0.500 1
Mn3 Mn 0.500 0.500 0.000 1
Mn4 Mn 0.000 0.000 0.000 1
S1 S 0.266 0.769 0.769 1
S2 S 0.231 0.231 0.734 1
S3 S 0.734 0.231 0.231 1
S4 S 0.231 0.734 0.231 1
S5 S 0.268 0.268 0.268 1
S6 S 0.732 0.732 0.732 1
S7 S 0.769 0.266 0.769 1
S8 S 0.769 0.769 0.266 1
```

Summary:
As for the distance to the lowest polymorph of the same formula: 0.000 eV per atom. As for the total energy: -6.31 eV per atom. As for the symmetry: R-3m, No. 166. As for the energy relative to the elements: -1.10 eV per atom.